# Pb4SO8 PBE relaxed
# E_tot = -72.5 eV per formula unit
# energy of formation = -1.50 eV per atom
# M_tot = 2.0 μB/cell
data_Pb4SO8
_space_group_name_H-M_alt 'P -1'
_space_group_IT_number 2
_space_group_name_Hall '-P 1'
_cell_length_a 6.137
_cell_length_b 7.957
_cell_length_c 10.461
_cell_angle_alpha 73.85
_cell_angle_beta 79.54
_cell_angle_gamma 87.23
loop_
_atom_site_label
_atom_site_type_symbol
_atom_site_fract_x
_atom_site_fract_y
_atom_site_fract_z
Pb1 Pb 0.169 0.020 0.172
Pb2 Pb 0.222 0.484 0.170
Pb3 Pb 0.228 0.610 0.539
Pb4 Pb 0.245 0.127 0.472
S1 S 0.302 0.242 0.827
O1 O 0.017 0.755 0.747
O2 O 0.105 0.892 0.421
O3 O 0.127 0.317 0.741
O4 O 0.154 0.418 0.416
O5 O 0.270 0.314 0.947
O6 O 0.281 0.048 0.871
O7 O 0.365 0.205 0.252
O8 O 0.475 0.704 0.258